This record from the Materials Project describes crystalline Ca2YBiO5 at its relaxed geometry. The functional is GGA-PBE. Values from VASP.

```
&SYSTEM
  ibrav = 0, nat = 18, ntyp = 4
/
ATOMIC_SPECIES
O 16.00 O.upf
Y 88.91 Y.upf
Ca 40.08 Ca.upf
Bi 208.98 Bi.upf
ATOMIC_POSITIONS crystal
O 0.7927 0.9888 0.4572
O 0.2621 0.3551 0.6873
O 0.6499 0.7283 0.3083
O 0.0008 0.1993 0.2479
O 0.3931 0.6028 0.3304
O 0.7283 0.6499 0.8083
O 0.6028 0.3931 0.8304
O 0.1993 0.0008 0.7479
O 0.9888 0.7927 0.9572
O 0.3551 0.2621 0.1873
Y 0.2627 0.7263 0.6901
Y 0.7263 0.2627 0.1901
Ca 0.1228 0.6158 0.3370
Ca 0.3761 0.8698 0.0835
Ca 0.8698 0.3761 0.5835
Ca 0.6158 0.1228 0.8370
Bi 0.4973 0.9976 0.5025
Bi 0.9976 0.4973 0.0025
CELL_PARAMETERS angstrom
3.0287 8.4021 0.0000
-3.0287 8.4021 0.0000
0.0000 2.1468 5.7087
```

Computed properties:
* calculated total energy: -6.832 eV/atom
* ΔH_f (0 K): -2868 meV per atom
* SG: No. 9
* crystal system: monoclinic